1.
Sc2Ga8Ni | GGA-PBE | relaxed

The structure in POSCAR format:
```
Sc2Ga8Ni
1.0
4.191 0.000 0.000
0.000 4.191 0.000
0.000 0.000 10.595
Sc Ga Ni
2 8 1
Cartesian
0.000 0.000 3.305
0.000 0.000 7.290
0.000 2.095 1.328
0.000 2.095 9.267
2.095 0.000 1.328
2.095 0.000 9.267
0.000 2.095 5.298
2.095 0.000 5.298
2.095 2.095 3.225
2.095 2.095 7.370
0.000 0.000 0.000
```

Computed properties:
- V: 186 Å³/cell
- E: -47.80 eV for the cell shown
- Formation energy: -0.466 eV/atom
- Space group: P4/mmm

---

2.
ScGa2Ni | GGA-PBE | relaxed

The structure in POSCAR format:
```
ScGa2Ni
1.0
4.052 0.000 0.000
-2.026 4.792 0.000
0.000 0.000 6.471
Sc Ga Ni
2 4 2
Cartesian
0.000 0.723 1.618
2.026 4.069 4.853
0.000 3.478 2.916
2.026 1.314 3.555
2.026 1.314 6.151
0.000 3.478 0.320
2.026 2.820 1.618
0.000 1.973 4.853
```

Computed properties:
- V: 126 Å³/cell
- E: -41.51 eV for the cell shown
- Formation energy: -0.647 eV/atom
- Space group: Cmcm

---

3.
ScGa5Ni | GGA-PBE | relaxed

The structure in POSCAR format:
```
ScGa5Ni
1.0
-2.453 -2.337 -2.430
3.321 -1.160 -2.238
0.931 -5.241 4.099
Sc Ga Ni
1 5 1
Cartesian
0.000 0.000 0.000
1.941 -2.157 0.115
2.312 -4.244 1.747
-0.947 -2.745 0.018
-0.576 -4.832 1.651
0.434 -1.748 -2.334
0.466 -2.620 2.050
```

Computed properties:
- V: 117 Å³/cell
- E: -30.41 eV for the cell shown
- Formation energy: -0.450 eV/atom
- Space group: P4/mmm

---

4.
Ga3SiNi4 | GGA-PBE | relaxed

The structure in POSCAR format:
```
Ga3SiNi4
1.0
3.234 -3.286 0.000
3.234 3.286 0.000
-0.105 0.000 4.609
Ga Si Ni
3 1 4
Cartesian
1.549 -0.609 3.010
2.585 1.628 1.579
3.203 -1.020 0.726
5.354 0.000 3.878
0.856 0.000 0.620
4.848 0.669 1.659
3.867 -1.634 3.012
3.188 0.965 3.951
```

Computed properties:
- V: 98 Å³/cell
- E: -41.13 eV for the cell shown
- Formation energy: -0.438 eV/atom
- Space group: R3

---

5.
Sm3Ga2Ni6 | GGA-PBE | relaxed

The structure in POSCAR format:
```
Sm3Ga2Ni6
1.0
-4.488 4.488 4.488
4.488 -4.488 4.488
4.488 4.488 -4.488
Sm Ga Ni
6 4 12
Cartesian
0.000 0.000 2.596
2.596 0.000 0.000
6.380 0.000 0.000
0.000 6.380 0.000
0.000 2.596 0.000
0.000 0.000 6.380
2.244 2.244 2.244
2.244 2.244 -2.244
-2.244 2.244 2.244
2.244 -2.244 2.244
1.459 1.459 4.488
4.488 1.459 -1.459
4.488 1.459 1.459
1.459 4.488 1.459
1.459 4.488 -1.459
-1.459 1.459 4.488
1.459 -1.459 4.488
3.029 0.000 3.029
4.488 -1.459 1.459
-1.459 4.488 1.459
0.000 3.029 3.029
3.029 3.029 0.000
```

Computed properties:
- V: 362 Å³/cell
- E: -120.64 eV for the cell shown
- Formation energy: -0.493 eV/atom
- Space group: Im-3m

---

6.
SmGa2Ni | GGA-PBE | relaxed

The structure in POSCAR format:
```
SmGa2Ni
1.0
0.389 0.749 4.048
-0.634 4.046 -0.688
-8.888 0.856 0.696
Sm Ga Ni
2 4 2
Cartesian
-6.558 3.587 2.079
-2.575 2.064 1.978
-4.230 3.556 -0.251
-5.292 1.346 0.260
0.195 0.375 2.024
-0.317 2.023 -0.344
-1.893 3.874 -0.535
-7.629 1.028 0.543
```

Computed properties:
- V: 150 Å³/cell
- E: -38.19 eV for the cell shown
- Formation energy: -0.636 eV/atom
- Space group: Cmmm

---

7.
Sm2Ga3Ni | GGA-PBE | relaxed

The structure in POSCAR format:
```
Sm2Ga3Ni
1.0
2.194 5.163 0.000
-2.194 5.163 0.000
0.000 4.994 5.270
Sm Ga Ni
2 3 1
Cartesian
0.000 9.113 3.736
0.000 6.189 1.557
0.000 12.227 3.644
0.000 9.121 0.644
0.000 6.176 4.744
0.000 3.134 1.485
```

Computed properties:
- V: 119 Å³/cell
- E: -28.01 eV for the cell shown
- Formation energy: -0.618 eV/atom
- Space group: Cm

---

8.
SmGaNi | GGA-PBE | relaxed

The structure in POSCAR format:
```
SmGaNi
1.0
-1.409 2.577 -3.225
4.043 -3.489 -4.556
-5.627 -4.762 -1.347
Sm Ga Ni
4 4 4
Cartesian
-4.777 -3.241 -1.977
-2.182 -4.500 -4.118
1.784 -2.434 -7.150
-0.811 -1.174 -5.009
-1.995 -1.985 -2.190
1.949 -2.103 -4.008
-0.998 -3.689 -6.937
-4.942 -3.571 -5.119
0.554 -4.076 -4.974
0.327 -0.812 -2.267
-3.547 -1.598 -4.152
-3.320 -4.862 -6.860
```

Computed properties:
- V: 229 Å³/cell
- E: -61.19 eV for the cell shown
- Formation energy: -0.590 eV/atom
- Space group: Pnma